1.
DFT (PBE+U) results for crystalline TiFe11O16 at its relaxed geometry.

abc: 8.6154 12.1342 6.0736
angles: 90.00 90.00 90.00
Last column: nearest neighbours and their distance in Å.
Fractional coordinates of all 56 atoms:
Ti 0.0000 0.0000 0.0000  6 O 1.98-2.02
Ti 0.5000 0.5000 0.5000  6 O 1.98-2.02
Fe 0.0000 0.5000 0.0000  6 O 2.13-2.15
Fe 0.0030 0.2561 0.0000  6 O 2.02-2.15
Fe 0.1280 0.6250 0.5000  4 O 1.92-1.94
Fe 0.1301 0.1253 0.5000  4 O 1.90-1.98
Fe 0.2495 0.3747 0.2493  6 O 2.11-2.19
Fe 0.2495 0.3747 0.7507  6 O 2.11-2.19
Fe 0.2505 0.8747 0.2507  6 O 2.11-2.19
Fe 0.2505 0.8747 0.7493  6 O 2.11-2.19
Fe 0.3699 0.6253 0.0000  4 O 1.90-1.98
Fe 0.3720 0.1250 0.0000  4 O 1.92-1.94
Fe 0.4970 0.7561 0.5000  6 O 2.02-2.15
Fe 0.5000 0.0000 0.5000  6 O 2.13-2.15
Fe 0.5030 0.2439 0.5000  6 O 2.02-2.15
Fe 0.6280 0.8750 0.0000  4 O 1.92-1.94
Fe 0.6301 0.3747 0.0000  4 O 1.90-1.98
Fe 0.7495 0.1253 0.2507  6 O 2.11-2.19
Fe 0.7495 0.1253 0.7493  6 O 2.11-2.19
Fe 0.7505 0.6253 0.2493  6 O 2.11-2.19
Fe 0.7505 0.6253 0.7507  6 O 2.11-2.19
Fe 0.8699 0.8747 0.5000  4 O 1.90-1.98
Fe 0.8720 0.3750 0.5000  4 O 1.92-1.94
Fe 0.9970 0.7439 0.0000  6 O 2.02-2.15
O 0.0003 0.3703 0.2415  4 Fe 1.92-2.15
O 0.0003 0.3703 0.7585  4 Fe 1.92-2.15
O 0.9997 0.6297 0.2415  4 Fe 1.92-2.15
O 0.9997 0.6297 0.7585  4 Fe 1.92-2.15
O 0.0028 0.1209 0.2294  3 Fe 1.98-2.19, 1 Ti 2.02
O 0.0028 0.1209 0.7706  3 Fe 1.98-2.19, 1 Ti 2.02
O 0.2303 0.0004 0.0000  3 Fe 1.94-2.16, 1 Ti 1.98
O 0.2384 0.2513 0.0000  4 Fe 1.92-2.13
O 0.2382 0.7539 0.0000  4 Fe 1.93-2.12
O 0.2470 0.4952 0.0000  3 Fe 1.90-2.11
O 0.2530 0.9952 0.5000  3 Fe 1.90-2.11
O 0.2618 0.2539 0.5000  4 Fe 1.93-2.12
O 0.2616 0.7513 0.5000  4 Fe 1.92-2.13
O 0.2697 0.5004 0.5000  3 Fe 1.94-2.16, 1 Ti 1.98
O 0.4972 0.6209 0.2706  3 Fe 1.98-2.19, 1 Ti 2.02
O 0.4972 0.6209 0.7294  3 Fe 1.98-2.19, 1 Ti 2.02
O 0.5003 0.1297 0.2585  4 Fe 1.92-2.15
O 0.5003 0.1297 0.7415  4 Fe 1.92-2.15
O 0.4997 0.8703 0.2585  4 Fe 1.92-2.15
O 0.4997 0.8703 0.7415  4 Fe 1.92-2.15
O 0.5028 0.3791 0.2706  3 Fe 1.98-2.19, 1 Ti 2.02
O 0.5028 0.3791 0.7294  3 Fe 1.98-2.19, 1 Ti 2.02
O 0.7303 0.4996 0.5000  3 Fe 1.94-2.16, 1 Ti 1.98
O 0.7384 0.2487 0.5000  4 Fe 1.92-2.13
O 0.7382 0.7461 0.5000  4 Fe 1.93-2.12
O 0.7470 0.0048 0.5000  3 Fe 1.90-2.11
O 0.7530 0.5048 0.0000  3 Fe 1.90-2.11
O 0.7618 0.2461 0.0000  4 Fe 1.93-2.12
O 0.7616 0.7487 0.0000  4 Fe 1.92-2.13
O 0.7697 0.9996 0.0000  3 Fe 1.94-2.16, 1 Ti 1.98
O 0.9972 0.8791 0.2294  3 Fe 1.98-2.19, 1 Ti 2.02
O 0.9972 0.8791 0.7706  3 Fe 1.98-2.19, 1 Ti 2.02

**Energy with MP2020 corrections**: -8.2056 eV/atom
**Space group**: No. 58
**ΔH_f (0 K)**: -1.77 eV per atom
**E_tot**: -6.927 eV/atom
**Offset from the most stable computed form**: 0.0 meV/atom


2.
DFT (PBE+U) results for crystalline Ti7Fe13O30 at its relaxed geometry.

abc: 5.1456 5.5502 21.4091
angles: 94.75 90.04 117.46
Last column: nearest neighbours and their distance in Å.
Fractional coordinates of all 50 atoms:
Ti 0.0000 0.0000 0.0000  4 O 1.88-2.07
Ti 0.0920 0.2037 0.2982  4 O 1.85-2.05
Ti 0.5027 0.0045 0.4986  3 O 1.85-1.97
Ti 0.5981 0.2114 0.8064  4 O 1.83-2.01
Ti 0.7098 0.4077 0.1054  5 O 1.84-2.06
Ti 0.8057 0.6012 0.3992  3 O 1.83-1.91
Ti 0.9034 0.8028 0.7013  3 O 1.86-1.91
Fe 0.0026 0.9912 0.1411  6 O 2.06-2.25
Fe 0.0974 0.1919 0.4427  6 O 2.06-2.27
Fe 0.1925 0.3868 0.7408  6 O 1.95-2.13
Fe 0.1970 0.4009 0.5988  4 O 1.92-2.14
Fe 0.2923 0.5944 0.8997  6 O 2.07-2.24
Fe 0.2958 0.5823 0.0399  6 O 1.95-2.15
Fe 0.3864 0.7933 0.3412  6 O 2.10-2.26
Fe 0.3930 0.7927 0.1988  6 O 2.05-2.24
Fe 0.4936 0.9936 0.6416  5 O 1.97-2.11
Fe 0.5895 0.1798 0.9444  5 O 1.97-2.15
Fe 0.6907 0.3828 0.2428  5 O 1.97-2.12
Fe 0.7972 0.5944 0.5415  6 O 2.10-2.25
Fe 0.8917 0.7951 0.8418  6 O 2.06-2.24
O 0.0373 0.4370 0.3798  1 Ti 1.83
O 0.0471 0.7011 0.6297  1 Ti 1.86
O 0.0982 0.9662 0.3577  1 Ti 1.92, 2 Fe 2.12
O 0.0999 0.8340 0.4787  1 Ti 1.87
O 0.1173 0.5408 0.2605  3 Fe 1.97-2.16, 1 Ti 2.05
O 0.1369 0.6791 0.1148  3 Fe 1.95-2.18, 1 Ti 2.01
O 0.2442 0.8330 0.9824  1 Ti 1.90, 1 Fe 2.04
O 0.2477 0.1074 0.2277  1 Ti 1.86, 1 Fe 2.08
O 0.2994 0.2489 0.0779  2 Ti 1.94-2.17, 2 Fe 2.09-2.12
O 0.3199 0.3362 0.9613  3 Fe 1.97-2.12, 1 Ti 2.07
O 0.3395 0.9618 0.8554  1 Ti 1.83
O 0.3505 0.0955 0.7236  2 Fe 2.04-2.13, 2 Ti 2.06-2.14
O 0.4452 0.4867 0.8165  3 Fe 1.95-2.17, 1 Ti 2.01
O 0.4486 0.2263 0.5826  2 Fe 1.96-1.97, 1 Ti 2.19
O 0.4910 0.6385 0.6826  1 Ti 1.91, 1 Fe 2.04
O 0.5099 0.7628 0.5603  1 Ti 1.97, 3 Fe 2.10-2.14
O 0.5562 0.3577 0.4554  1 Ti 1.89, 1 Fe 2.11
O 0.5610 0.4885 0.3247  1 Ti 1.91, 1 Fe 2.01
O 0.6195 0.8745 0.4277  1 Ti 1.85
O 0.6694 0.6129 0.1786  1 Ti 1.93, 2 Fe 1.99-2.11
O 0.6939 0.0399 0.2787  1 Ti 1.85
O 0.7162 0.1541 0.1549  1 Ti 1.84
O 0.7281 0.7610 0.0540  1 Ti 1.90, 1 Fe 1.98
O 0.7551 0.9005 0.9274  1 Ti 1.88, 2 Fe 2.09-2.10
O 0.8424 0.2895 0.0227  2 Fe 1.99-2.15, 2 Ti 2.06-2.13
O 0.8445 0.4144 0.8807  1 Ti 1.95, 2 Fe 2.00-2.07
O 0.8523 0.0551 0.7778  2 Ti 1.95-2.16, 2 Fe 2.09-2.14
O 0.9303 0.1546 0.6600  3 Fe 2.01-2.12, 1 Ti 2.16
O 0.9365 0.5672 0.7551  1 Ti 1.88, 1 Fe 2.00
O 0.9411 0.2827 0.5252  2 Fe 1.92-2.06, 1 Ti 2.11

**Energy with MP2020 corrections**: -8.6464 eV/atom
**Space group**: No. 1
**ΔH_f (0 K)**: -2.37 eV per atom
**E_tot**: -7.648 eV/atom
**Offset from the most stable computed form**: 0.0 meV/atom


3.
DFT (PBE+U) results for crystalline TiFe3O6 at its relaxed geometry.

abc: 23.4911 23.4911 23.4911
angles: 12.55 12.55 12.55
Last column: nearest neighbours and their distance in Å.
Fractional coordinates of all 50 atoms:
Ti 0.0000 0.0000 0.0000  6 O 1.93-2.09
Ti 0.0590 0.0590 0.0590  6 O 1.93-2.08
Ti 0.1999 0.1999 0.1999  6 O 1.92-2.09
Ti 0.5999 0.5999 0.5999  6 O 1.92-2.09
Ti 0.7998 0.7998 0.7998  6 O 1.92-2.08
Fe 0.1009 0.1009 0.1009  6 O 1.99-2.17
Fe 0.1584 0.1584 0.1584  6 O 2.01-2.15
Fe 0.2583 0.2583 0.2583  6 O 2.00-2.18
Fe 0.3002 0.3002 0.3002  6 O 2.00-2.18
Fe 0.3594 0.3594 0.3594  6 O 2.03-2.15
Fe 0.4005 0.4005 0.4005  6 O 2.00-2.19
Fe 0.4586 0.4586 0.4586  6 O 2.00-2.17
Fe 0.5000 0.5000 0.5000  6 O 2.00-2.18
Fe 0.5583 0.5583 0.5583  6 O 2.01-2.16
Fe 0.6584 0.6584 0.6584  6 O 2.01-2.19
Fe 0.6996 0.6996 0.6996  6 O 2.03-2.15
Fe 0.7581 0.7581 0.7581  6 O 1.99-2.16
Fe 0.8584 0.8584 0.8584  6 O 2.00-2.18
Fe 0.9001 0.9001 0.9001  6 O 2.00-2.18
Fe 0.9583 0.9583 0.9583  6 O 2.01-2.16
O 0.0698 0.7018 0.3670  1 Ti 1.93, 2 Fe 2.03-2.15
O 0.0753 0.3807 0.7809  3 Fe 1.99-2.17, 1 Ti 2.08
O 0.0789 0.7817 0.4789  3 Fe 1.99-2.16, 1 Ti 2.08
O 0.1562 0.4930 0.7883  1 Ti 1.92, 1 Fe 2.01
O 0.1846 0.8763 0.4785  3 Fe 2.00-2.15, 1 Ti 2.09
O 0.1869 0.5570 0.8939  1 Ti 1.92, 1 Fe 2.01
O 0.2761 0.8779 0.5855  3 Fe 2.00-2.16, 1 Ti 2.09
O 0.2771 0.9863 0.6763  3 Fe 2.00-2.16, 1 Ti 2.09
O 0.2943 0.5866 0.9569  1 Ti 1.92, 1 Fe 2.01
O 0.3571 0.6925 0.9886  1 Ti 1.93, 2 Fe 2.03-2.15
O 0.3670 0.0698 0.7018  1 Ti 1.93, 2 Fe 2.03-2.15
O 0.3807 0.7809 0.0753  3 Fe 1.99-2.17, 1 Ti 2.08
O 0.4785 0.1846 0.8763  3 Fe 2.00-2.15, 1 Ti 2.09
O 0.4789 0.0789 0.7817  3 Fe 1.99-2.16, 1 Ti 2.08
O 0.4930 0.7883 0.1562  1 Ti 1.92, 1 Fe 2.01
O 0.5570 0.8939 0.1869  1 Ti 1.92, 1 Fe 2.01
O 0.5855 0.2761 0.8779  3 Fe 2.00-2.16, 1 Ti 2.09
O 0.5866 0.9569 0.2943  1 Ti 1.92, 1 Fe 2.01
O 0.6763 0.2771 0.9863  3 Fe 2.00-2.16, 1 Ti 2.09
O 0.6925 0.9886 0.3571  1 Ti 1.93, 2 Fe 2.03-2.15
O 0.7018 0.3670 0.0698  1 Ti 1.93, 2 Fe 2.03-2.15
O 0.7809 0.0753 0.3807  3 Fe 1.99-2.17, 1 Ti 2.08
O 0.7817 0.4789 0.0789  3 Fe 1.99-2.16, 1 Ti 2.08
O 0.7883 0.1562 0.4930  1 Ti 1.92, 1 Fe 2.01
O 0.8763 0.4785 0.1846  3 Fe 2.00-2.15, 1 Ti 2.09
O 0.8779 0.5855 0.2761  3 Fe 2.00-2.16, 1 Ti 2.09
O 0.8939 0.1869 0.5570  1 Ti 1.92, 1 Fe 2.01
O 0.9569 0.2943 0.5866  1 Ti 1.92, 1 Fe 2.01
O 0.9863 0.6763 0.2771  3 Fe 2.00-2.16, 1 Ti 2.09
O 0.9886 0.3571 0.6925  1 Ti 1.93, 2 Fe 2.03-2.15

**Energy with MP2020 corrections**: -8.4303 eV/atom
**Space group**: No. 146
**ΔH_f (0 K)**: -2.13 eV per atom
**E_tot**: -7.341 eV/atom
**Offset from the most stable computed form**: 25.5 meV/atom


4.
DFT (PBE+U) results for crystalline Ti6FeO16 at its relaxed geometry.

abc: 4.6882 7.5576 7.6826
angles: 82.45 89.81 89.95
Last column: nearest neighbours and their distance in Å.
Fractional coordinates of all 23 atoms:
Ti 0.0000 0.0000 0.0000  3 O 1.82-1.91
Ti 0.0001 0.1332 0.6142  4 O 1.80-2.00
Ti 0.0113 0.3165 0.2319  6 O 1.91-2.10
Ti 0.0213 0.4541 0.8422  4 O 1.84-2.04
Ti 0.4908 0.9619 0.3560  3 O 1.83-1.91
Ti 0.5148 0.6675 0.0804  4 O 1.82-2.03
Fe 0.5012 0.5141 0.4871  6 O 1.88-1.96
O 0.1953 0.2162 0.8195  3 Ti 2.00-2.20
O 0.2339 0.4728 0.0697  3 Ti 1.91-2.04
O 0.2418 0.3356 0.4418  1 Fe 1.88, 1 Ti 1.97
O 0.2433 0.0864 0.1965  2 Ti 1.85-2.07
O 0.2653 0.8309 0.9690  2 Ti 1.82-1.83
O 0.2709 0.5619 0.6762  1 Ti 1.84, 1 Fe 1.88
O 0.2799 0.9796 0.5536  2 Ti 1.83-1.85
O 0.3332 0.7048 0.3283  1 Fe 1.93, 2 Ti 2.12-2.14
O 0.7019 0.7284 0.4925  1 Fe 1.88
O 0.7249 0.4859 0.2765  2 Ti 1.92-2.14, 1 Fe 1.96
O 0.7368 0.8758 0.1522  2 Ti 1.86-2.03
O 0.7501 0.6128 0.9068  2 Ti 1.82-1.86
O 0.7799 0.3782 0.6401  1 Fe 1.96, 2 Ti 2.07-2.15
O 0.7825 0.1275 0.3962  3 Ti 1.91-2.07
O 0.8044 0.9969 0.7834  2 Ti 1.80-1.91
O 0.8389 0.2529 0.0182  3 Ti 1.95-2.08

**Energy with MP2020 corrections**: -8.4930 eV/atom
**Space group**: No. 1
**ΔH_f (0 K)**: -2.62 eV per atom
**E_tot**: -7.917 eV/atom


5.
DFT (PBE+U) results for crystalline Ti5Fe7O18 at its relaxed geometry.

abc: 7.4827 7.5133 11.4967
angles: 93.53 103.67 95.52
Last column: nearest neighbours and their distance in Å.
Fractional coordinates of all 60 atoms:
Ti 0.0400 0.3876 0.3984  5 O 1.89-2.05
Ti 0.1139 0.0884 0.9240  5 O 1.88-2.04
Ti 0.2821 0.6069 0.2680  6 O 1.89-2.11
Ti 0.3832 0.3938 0.0681  5 O 1.88-2.09
Ti 0.4343 0.0928 0.6033  5 O 1.89-2.09
Ti 0.5657 0.9072 0.3967  5 O 1.89-2.09
Ti 0.6168 0.6062 0.9319  5 O 1.88-2.09
Ti 0.7179 0.3931 0.7320  6 O 1.89-2.11
Ti 0.8861 0.9116 0.0760  5 O 1.88-2.04
Ti 0.9600 0.6124 0.6016  5 O 1.89-2.05
Fe 0.0550 0.8988 0.3976  6 O 2.01-2.15
Fe 0.1137 0.6042 0.9267  5 O 1.98-2.18
Fe 0.2008 0.9119 0.7265  6 O 1.94-2.00
Fe 0.2194 0.4090 0.7403  6 O 2.02-2.20
Fe 0.2965 0.1135 0.2696  6 O 2.02-2.21
Fe 0.3924 0.8999 0.0643  6 O 2.00-2.21
Fe 0.4488 0.6119 0.5973  5 O 1.99-2.19
Fe 0.5512 0.3881 0.4027  5 O 1.99-2.19
Fe 0.6076 0.1001 0.9357  6 O 2.00-2.21
Fe 0.7035 0.8865 0.7304  6 O 2.02-2.21
Fe 0.7806 0.5910 0.2597  6 O 2.02-2.20
Fe 0.7992 0.0881 0.2735  6 O 1.94-2.00
Fe 0.8863 0.3958 0.0733  5 O 1.98-2.18
Fe 0.9450 0.1012 0.6024  6 O 2.01-2.15
O 0.0230 0.0063 0.2301  1 Ti 1.88, 3 Fe 2.00-2.10
O 0.0343 0.8452 0.5637  1 Ti 1.89, 2 Fe 1.99-2.01
O 0.0742 0.6479 0.3287  1 Ti 1.89, 1 Fe 2.03
O 0.0871 0.8539 0.0026  2 Ti 1.96-2.04, 1 Fe 2.07
O 0.1360 0.6699 0.7660  3 Fe 1.94-2.14, 1 Ti 2.03
O 0.1565 0.5030 0.1092  2 Ti 1.92-2.09, 1 Fe 2.04
O 0.1755 0.4972 0.5574  2 Ti 1.96-2.05, 1 Fe 2.07
O 0.1956 0.3355 0.9038  2 Ti 1.94-2.06, 1 Fe 2.03
O 0.2382 0.1556 0.6696  1 Ti 1.89, 2 Fe 2.00-2.05
O 0.2563 0.3575 0.3388  2 Ti 1.93-2.10, 2 Fe 2.03-2.14
O 0.3066 0.1597 0.0999  1 Ti 1.88, 1 Fe 2.02
O 0.3244 0.0078 0.4401  1 Ti 1.91, 2 Fe 2.04-2.13
O 0.3422 0.9963 0.8889  3 Fe 1.95-2.15, 1 Ti 2.02
O 0.3666 0.8399 0.2342  2 Ti 1.90-2.09, 1 Fe 2.08
O 0.4099 0.6465 0.9975  2 Ti 1.92-2.12, 1 Fe 2.04
O 0.4114 0.8504 0.6676  3 Fe 1.94-2.12, 1 Ti 2.01
O 0.4708 0.6679 0.4311  2 Ti 1.97-2.06, 1 Fe 2.02
O 0.4898 0.5053 0.7734  2 Ti 1.92-2.11, 1 Fe 2.02
O 0.5102 0.4947 0.2266  2 Ti 1.92-2.11, 1 Fe 2.02
O 0.5292 0.3321 0.5689  2 Ti 1.97-2.06, 1 Fe 2.02
O 0.5886 0.1496 0.3324  3 Fe 1.94-2.12, 1 Ti 2.01
O 0.5901 0.3535 0.0025  2 Ti 1.92-2.12, 1 Fe 2.04
O 0.6334 0.1601 0.7658  2 Ti 1.90-2.09, 1 Fe 2.08
O 0.6578 0.0037 0.1111  3 Fe 1.95-2.15, 1 Ti 2.02
O 0.6756 0.9922 0.5599  1 Ti 1.91, 2 Fe 2.04-2.13
O 0.6934 0.8403 0.9001  1 Ti 1.88, 1 Fe 2.02
O 0.7437 0.6425 0.6612  2 Ti 1.93-2.10, 2 Fe 2.03-2.14
O 0.7618 0.8444 0.3304  1 Ti 1.89, 2 Fe 2.00-2.05
O 0.8044 0.6645 0.0962  2 Ti 1.94-2.06, 1 Fe 2.03
O 0.8245 0.5028 0.4426  2 Ti 1.96-2.05, 1 Fe 2.07
O 0.8435 0.4970 0.8908  2 Ti 1.92-2.09, 1 Fe 2.04
O 0.8640 0.3301 0.2340  3 Fe 1.94-2.14, 1 Ti 2.03
O 0.9129 0.1461 0.9974  2 Ti 1.96-2.04, 1 Fe 2.07
O 0.9258 0.3521 0.6713  1 Ti 1.89, 1 Fe 2.03
O 0.9657 0.1548 0.4363  1 Ti 1.89, 2 Fe 1.99-2.01
O 0.9770 0.9937 0.7699  1 Ti 1.88, 3 Fe 2.00-2.10

**Energy with MP2020 corrections**: -8.7386 eV/atom
**Space group**: No. 2
**ΔH_f (0 K)**: -2.48 eV per atom
**E_tot**: -7.800 eV/atom
**Offset from the most stable computed form**: 56.3 meV/atom


> Look up the ΔH_f (0 K) of the first one.

-1.77 eV per atom